(1)
The following is a PBE with a Hubbard U calculation of crystalline CoCuP2O8 at its relaxed geometry, from the Materials Project.

POSCAR file:
```
CoCuP2O8
1.0
5.9147 0.0000 0.0000
0.0000 4.9952 0.0000
0.0000 0.7390 9.9775
Co Cu P O
2 2 4 16
Direct
0.7500 0.4409 0.7893
0.2500 0.5591 0.2107
0.2500 0.8672 0.6965
0.7500 0.1328 0.3035
0.2500 0.4045 0.8988
0.7500 0.9390 0.6035
0.2500 0.0610 0.3965
0.7500 0.5955 0.1012
0.7500 0.6538 0.9491
0.2500 0.7159 0.8698
0.0383 0.2823 0.8333
0.4617 0.2823 0.8333
0.5553 0.7671 0.6758
0.9447 0.7671 0.6758
0.7500 0.2355 0.6239
0.2500 0.1110 0.5475
0.7500 0.8890 0.4525
0.2500 0.7645 0.3761
0.0553 0.2329 0.3242
0.4447 0.2329 0.3242
0.5383 0.7177 0.1667
0.9617 0.7177 0.1667
0.7500 0.2841 0.1302
0.2500 0.3462 0.0509
```

The space group is P2_1/m, No. 11. For the final energy, the calculation gives -6.469 eV per atom. For the formation energy, the calculation gives -1929 meV per atom. For the calculated volume, the calculation gives 12.283 A^3/atom.



(2)
The following is a PBE with a Hubbard U calculation of crystalline Ti3CoCu2P6O24 at its relaxed geometry, from the Materials Project.

POSCAR file:
```
Ti3CoCu2P6O24
1.0
-5.7172 -1.7146 -6.1075
0.3751 -7.4317 -4.1901
-5.9923 -5.9328 1.3496
Ti Co Cu P O
3 1 2 6 24
Direct
0.1411 0.1411 0.1411
0.3574 0.3574 0.3574
0.6431 0.6431 0.6431
0.8591 0.8591 0.8591
0.9979 0.9979 0.9979
0.4995 0.4995 0.4995
0.9562 0.5442 0.2456
0.2456 0.9562 0.5442
0.5442 0.2456 0.9562
0.4651 0.7523 0.0395
0.7523 0.0395 0.4651
0.0395 0.4651 0.7523
0.4989 0.3100 0.1185
0.1185 0.4989 0.3100
0.2664 0.9142 0.0551
0.3100 0.1185 0.4989
0.6226 0.8098 0.0074
0.4390 0.5865 0.2346
0.9142 0.0551 0.2664
0.5865 0.2346 0.4390
0.0008 0.3783 0.1880
0.2346 0.4390 0.5865
0.9443 0.7379 0.0801
0.1880 0.0008 0.3783
0.8098 0.0074 0.6226
0.0551 0.2664 0.9142
0.7642 0.5569 0.4134
0.0074 0.6226 0.8098
0.4134 0.7642 0.5569
0.0801 0.9443 0.7379
0.5569 0.4134 0.7642
0.3783 0.1880 0.0008
0.6898 0.8778 0.5044
0.7379 0.0801 0.9443
0.8778 0.5044 0.6898
0.5044 0.6898 0.8778
```

The space group is R3, No. 146. For the final energy, the calculation gives -7.383 eV per atom. For the formation energy, the calculation gives -2602 meV per atom. For the calculated volume, the calculation gives 12.302 A^3/atom.